The following is a PBE-GGA calculation of RbNaMg14O15 after structural relaxation, from the Materials Project database.

Unit cell a=4.2050 b=8.3837 c=10.3812 alpha=90.00 beta=90.00 gamma=90.00
Atoms (fractional coordinates):
O 0.5000 0.2208 0.7217
Mg 0.5000 0.5000 0.7301
Mg 0.5000 0.2365 0.5176
Mg 0.0000 0.7299 0.7344
Mg 0.0000 0.0000 0.4767
Mg 0.5000 0.2539 0.9409
O 0.5000 0.5000 0.5165
Mg 0.0000 0.5000 0.5133
O 0.5000 0.2574 0.2837
O 0.0000 0.2254 0.9178
Mg 0.5000 0.7461 0.9409
O 0.0000 0.5000 0.3155
Mg 0.0000 0.2701 0.7344
O 0.5000 0.7792 0.7217
O 0.5000 0.0000 0.9860
Mg 0.5000 0.0000 0.7971
Na 0.0000 0.0000 0.0360
Rb 0.0000 0.5000 0.0531
O 0.5000 0.5000 0.9201
Mg 0.0000 0.7469 0.3032
O 0.0000 0.7746 0.9178
O 0.0000 0.7618 0.5120
O 0.5000 0.7426 0.2837
O 0.0000 0.0000 0.2753
Mg 0.0000 0.2531 0.3032
O 0.0000 0.5000 0.7039
Mg 0.5000 0.7635 0.5176
Mg 0.5000 0.5000 0.3172
O 0.0000 0.2382 0.5120
O 0.5000 0.0000 0.4786
Mg 0.5000 0.0000 0.2679

Output
Corrected total energy (MP2020 scheme)   -180.773 eV per cell
Offset from the most stable computed form   0.036 eV/atom
M_tot   0.0 μB per cell
Energy of formation   -2640 meV per atom
Raw total energy   -5.50 eV/atom